No. 1
! BaNaMg14, optimized geometry, DFT PBE; values from VASP
! Formation enthalpy at 0 K (eV/f.u.): 1.378
! SG: Amm2 (38)
! Magnetic moment (μB per formula unit): 0.0
! VASP energy (eV per cell): -24.3
! Energy above the lowest structure with this stoichiometry (eV/f.u.): 0.00
&SYSTEM
  ibrav = 0, nat = 16, ntyp = 3
/
ATOMIC_SPECIES
Ba 137.33 Ba.upf
Na 22.99 Na.upf
Mg 24.30 Mg.upf
CELL_PARAMETERS angstrom
10.760 0.000 0.000
0.000 3.273 5.841
0.000 -3.273 5.841
ATOMIC_POSITIONS crystal
Ba 0.000 0.000 0.000
Na 0.000 0.498 0.498
Mg 0.000 0.006 0.496
Mg 0.000 0.496 0.006
Mg 0.251 0.667 0.667
Mg 0.262 0.170 0.170
Mg 0.267 0.166 0.657
Mg 0.267 0.657 0.166
Mg 0.500 0.000 0.000
Mg 0.500 0.499 0.997
Mg 0.500 0.501 0.501
Mg 0.500 0.997 0.499
Mg 0.733 0.166 0.657
Mg 0.733 0.657 0.166
Mg 0.738 0.170 0.170
Mg 0.749 0.667 0.667

=====

No. 2
! BaMg6Nb, optimized geometry, DFT PBE; values from VASP
! Formation enthalpy at 0 K (eV/f.u.): 1.721
! SG: P4/mmm (123)
! Magnetic moment (μB per formula unit): 1.4
! VASP energy (eV per cell): -19.9
! Energy above the lowest structure with this stoichiometry (eV/f.u.): 0.00
&SYSTEM
  ibrav = 0, nat = 8, ntyp = 3
/
ATOMIC_SPECIES
Ba 137.33 Ba.upf
Mg 24.30 Mg.upf
Nb 92.91 Nb.upf
CELL_PARAMETERS angstrom
6.760 0.000 0.000
0.000 6.760 0.000
0.000 0.000 4.504
ATOMIC_POSITIONS crystal
Ba 0.000 0.000 0.000
Mg 0.000 0.500 0.000
Mg 0.285 0.285 0.500
Mg 0.285 0.715 0.500
Mg 0.500 0.000 0.000
Mg 0.715 0.285 0.500
Mg 0.715 0.715 0.500
Nb 0.500 0.500 0.000